(1)
Here is an optimized crystal structure of WOF4 from the Materials Project. Energies are from GGA+U.

## Properties
* distance to the lowest polymorph of the same formula: 0.344 eV/f.u.
* energy of formation from the pure elements: -2.625 eV/atom
* M_tot: 0.0 Bohr magnetons per cell

Cell: 5.3522 6.2763 6.5278 Å, 102.25 95.16 107.93°
Closest atoms and distances in Å follow each position.
Space group P-1 (No. 2)
One atom of each set of equivalent atoms:
1 W 0.0862 0.2179 0.2521 x2  1 O 1.72, 3 F 1.87-1.89
2 O 0.0048 0.7426 0.5003 x2  1 W 1.72
3 F 0.1553 0.6807 0.8955 x2  1 W 1.88
4 F 0.1570 0.0987 0.8896 x2  1 W 1.98
5 F 0.3434 0.0754 0.2936 x2  1 W 1.89
6 F 0.3611 0.4947 0.2690 x2  1 W 1.87



(2)
Here is an optimized crystal structure of W2O3F9 from the Materials Project. Energies are from GGA+U.

## Properties
* energy of formation from the pure elements: -2.152 eV/atom
* M_tot: 6.0 Bohr magnetons per cell

Cell: 5.7813 5.4824 16.2284 Å, 90.00 106.23 90.00°
Closest atoms and distances in Å follow each position.
Space group P2/c (No. 13)
One atom of each set of equivalent atoms:
1 W 0.1335 0.2341 0.3811 x4  1 O 1.75, 4 F 1.89-1.90
2 O 0.2387 0.1397 0.4885 x4  1 W 1.75
3 O 0.5000 0.3180 0.7500 x2  8 F 2.83-3.02
4 F 0.0000 0.3515 0.2500 x2  2 W 2.15
5 F 0.0743 0.0321 0.6610 x4  1 W 1.89
6 F 0.1344 0.4184 0.1079 x4  1 W 1.90
7 F 0.3132 0.4716 0.8896 x4  1 W 1.90
8 F 0.3735 0.0813 0.3395 x4  1 W 1.90



(3)
Here is an optimized crystal structure of W5O4F22 from the Materials Project. Energies are from GGA+U.

## Properties
* energy of formation from the pure elements: -2.697 eV/atom
* M_tot: 0.0 Bohr magnetons per cell

Cell: 10.2594 10.2693 12.7078 Å, 113.63 113.79 90.14°
Closest atoms and distances in Å follow each position.
Space group P-1 (No. 2)
One atom of each set of equivalent atoms:
1 W 0.0542 0.3068 0.1937 x2  5 F 1.87-1.88, 1 O 1.92
2 W 0.1251 0.3752 0.7513 x2  2 F 1.89, 4 O 1.92-1.93
3 W 0.1944 0.8590 0.3062 x2  5 F 1.87-1.89, 1 O 1.90
4 W 0.3606 0.1138 0.8088 x2  5 F 1.88-1.89, 1 O 1.91
5 W 0.3880 0.5531 0.6937 x2  5 F 1.88-1.89, 1 O 1.92
6 O 0.0518 0.6987 0.2540 x2  2 W 1.90-1.93
7 O 0.0550 0.5499 0.7549 x2  2 W 1.92-1.93
8 O 0.2000 0.2056 0.7582 x2  2 W 1.91-1.92
9 O 0.2968 0.4429 0.7453 x2  2 W 1.92-1.93
10 F 0.0350 0.2821 0.5704 x2  1 W 1.89
11 F 0.0516 0.3781 0.0787 x2  1 W 1.87
12 F 0.0559 0.2392 0.3117 x2  1 W 1.88
13 F 0.0580 0.9079 0.1814 x2  1 W 1.89
14 F 0.1166 0.8302 0.9332 x2  1 W 1.88
15 F 0.1293 0.9735 0.4251 x2  1 W 1.87
16 F 0.1627 0.1721 0.1382 x2  1 W 1.87
17 F 0.2018 0.5523 0.5757 x2  1 W 1.89
18 F 0.2180 0.4670 0.9322 x2  1 W 1.89
19 F 0.2269 0.4409 0.3195 x2  1 W 1.88
20 F 0.2476 0.9280 0.6887 x2  1 W 1.88
21 F 0.2627 0.7473 0.1877 x2  1 W 1.88
22 F 0.3142 0.0995 0.9330 x2  1 W 1.88
23 F 0.3260 0.0255 0.3596 x2  1 W 1.88
24 F 0.3307 0.8108 0.4304 x2  1 W 1.88
25 F 0.3744 0.7240 0.8190 x2  1 W 1.89
26 F 0.3968 0.3819 0.5672 x2  1 W 1.88
27 F 0.4069 0.1290 0.6839 x2  1 W 1.89
28 F 0.4267 0.4436 0.1875 x2  1 W 1.88
29 F 0.4706 0.6660 0.6427 x2  1 W 1.88
30 F 0.4732 0.9651 0.1386 x2  1 W 1.88
31 F 0.4765 0.2996 0.9288 x2  1 W 1.89